Version A
Computed, not measured: Na5Mn2P2C2O14 after structural relaxation at the PBE with a Hubbard U level of DFT.

## Properties
**Spin magnetization**: 9.00 μB per formula unit
**SG**: P-1, No. 2

Unit cell a=8.4926 b=8.5361 c=10.4628 alpha=108.31 beta=107.86 gamma=103.01
Atoms (fractional coordinates):
Na 0.8022 0.5498 0.0799
Na 0.0054 0.0097 0.2380
Na 0.4913 0.4794 0.2528
Na 0.2520 0.7606 0.2547
Na 0.7338 0.2317 0.2361
Na 0.2662 0.7683 0.7639
Na 0.7480 0.2394 0.7453
Na 0.9946 0.9903 0.7620
Na 0.5087 0.5206 0.7472
Na 0.1978 0.4502 0.9201
Mn 0.6933 0.9409 0.3593
Mn 0.1920 0.4466 0.3587
Mn 0.3067 0.0591 0.6407
Mn 0.8080 0.5534 0.6413
P 0.9343 0.6891 0.4196
P 0.4395 0.1854 0.4240
P 0.0657 0.3109 0.5804
P 0.5605 0.8146 0.5760
C 0.5195 0.7672 0.0737
C 0.0285 0.2816 0.0664
C 0.4805 0.2328 0.9263
C 0.9715 0.7184 0.9336
O 0.0430 0.7879 0.0752
O 0.5503 0.3046 0.0668
O 0.1737 0.4231 0.1356
O 0.6630 0.9119 0.1496
O 0.4570 0.7015 0.1519
O 0.9644 0.2230 0.1475
O 0.0200 0.5965 0.3220
O 0.8302 0.7768 0.3286
O 0.5264 0.0770 0.3358
O 0.3394 0.2683 0.3311
O 0.9259 0.1715 0.4267
O 0.2995 0.0509 0.4475
O 0.7992 0.5477 0.4362
O 0.4213 0.6756 0.4236
O 0.0741 0.8285 0.5733
O 0.2008 0.4523 0.5638
O 0.7005 0.9491 0.5525
O 0.5787 0.3244 0.5764
O 0.9800 0.4035 0.6780
O 0.1698 0.2232 0.6714
O 0.4736 0.9230 0.6642
O 0.6606 0.7317 0.6689
O 0.5430 0.2985 0.8481
O 0.0356 0.7770 0.8525
O 0.3370 0.0881 0.8504
O 0.8263 0.5769 0.8644
O 0.4497 0.6954 0.9332
O 0.9570 0.2121 0.9248

---

Version B
Computed, not measured: Na5Mn2P2C2O14 after structural relaxation at the PBE with a Hubbard U level of DFT.

## Properties
**Spin magnetization**: 9.00 μB per formula unit
**SG**: P2_1/m, No. 11

Unit cell a=6.6437 b=5.2489 c=17.9676 alpha=88.97 beta=90.00 gamma=90.00
Atoms (fractional coordinates):
Na 0.0099 0.7553 0.1242
Na 0.4901 0.7553 0.1242
Na 0.5099 0.2447 0.8758
Na 0.9901 0.2447 0.8758
Na 0.2500 0.2401 0.7116
Na 0.9956 0.7517 0.6262
Na 0.5044 0.7517 0.6262
Na 0.4956 0.2483 0.3738
Na 0.0044 0.2483 0.3738
Na 0.7500 0.7599 0.2884
Mn 0.7500 0.2207 0.0712
Mn 0.2500 0.7793 0.9288
Mn 0.7500 0.2213 0.5731
Mn 0.2500 0.7787 0.4269
P 0.2500 0.2958 0.0398
P 0.7500 0.7042 0.9602
P 0.2500 0.2980 0.5404
P 0.7500 0.7020 0.4596
C 0.7500 0.2690 0.2181
C 0.2500 0.7310 0.7819
C 0.7500 0.2698 0.7150
C 0.2500 0.7302 0.2850
O 0.2500 0.7247 0.2146
O 0.7500 0.0497 0.1848
O 0.7500 0.4755 0.1772
O 0.0592 0.2173 0.0849
O 0.4408 0.2173 0.0849
O 0.2500 0.5958 0.0297
O 0.7500 0.8280 0.0382
O 0.2500 0.1720 0.9618
O 0.7500 0.4042 0.9703
O 0.5592 0.7827 0.9151
O 0.9408 0.7827 0.9151
O 0.2500 0.5245 0.8228
O 0.2500 0.9503 0.8152
O 0.7500 0.2753 0.7854
O 0.2500 0.7221 0.7102
O 0.7500 0.0515 0.6791
O 0.7500 0.4729 0.6719
O 0.0644 0.2242 0.5891
O 0.4356 0.2242 0.5891
O 0.2500 0.5955 0.5272
O 0.7500 0.8342 0.5356
O 0.2500 0.1658 0.4644
O 0.7500 0.4045 0.4728
O 0.5644 0.7758 0.4109
O 0.9356 0.7758 0.4109
O 0.2500 0.5271 0.3281
O 0.2500 0.9485 0.3209
O 0.7500 0.2779 0.2898

---

Stability, highest: version A

---

Version A
Computed, not measured: Na3MnPCO7 after structural relaxation at the PBE with a Hubbard U level of DFT.

## Properties
**Spin magnetization**: 0.00 μB per formula unit

Unit cell a=6.7414 b=9.0906 c=10.6382 alpha=89.90 beta=90.00 gamma=90.00
Atoms (fractional coordinates):
Na 0.4851 0.0023 0.5019
Na 0.4850 0.0021 0.0018
Na 0.9851 0.9977 0.9982
Na 0.9851 0.9979 0.4982
Na 0.2197 0.1662 0.2212
Na 0.2197 0.1663 0.7212
Na 0.7197 0.8338 0.2788
Na 0.7197 0.8337 0.7788
Na 0.4906 0.4931 0.2463
Na 0.4906 0.4931 0.7463
Na 0.9906 0.5069 0.2537
Na 0.9906 0.5069 0.7537
Mn 0.7381 0.2944 0.5105
Mn 0.2382 0.7058 0.9894
Mn 0.7382 0.2939 0.0105
Mn 0.2382 0.7060 0.4894
P 0.2377 0.3429 0.4917
P 0.2377 0.3427 0.9917
P 0.7377 0.6571 0.0083
P 0.7377 0.6573 0.5083
C 0.7383 0.1500 0.2493
C 0.7383 0.1499 0.7493
C 0.2383 0.8500 0.2507
C 0.2383 0.8501 0.7507
O 0.7383 0.0512 0.1609
O 0.7384 0.0511 0.6609
O 0.2384 0.9488 0.3391
O 0.2384 0.9489 0.8392
O 0.7351 0.1074 0.3673
O 0.7351 0.1073 0.8673
O 0.2351 0.8926 0.1327
O 0.2351 0.8927 0.6327
O 0.0531 0.2493 0.0324
O 0.0531 0.2495 0.5324
O 0.5531 0.7507 0.4676
O 0.5531 0.7505 0.9676
O 0.4223 0.2528 0.0375
O 0.4223 0.2530 0.5375
O 0.9223 0.7472 0.4625
O 0.9223 0.7470 0.9625
O 0.7425 0.2886 0.2218
O 0.7426 0.2885 0.7218
O 0.2425 0.7114 0.2782
O 0.2426 0.7115 0.7782
O 0.2400 0.3663 0.3483
O 0.2400 0.3663 0.8483
O 0.7400 0.6337 0.1517
O 0.7400 0.6336 0.6517
O 0.2337 0.4927 0.0631
O 0.2337 0.4930 0.5630
O 0.7337 0.5073 0.4369
O 0.7337 0.5070 0.9370

---

Version B
Computed, not measured: Na3MnPCO7 after structural relaxation at the PBE with a Hubbard U level of DFT.

## Properties
**Spin magnetization**: 5.00 μB per formula unit
**SG**: P2_1/m, No. 11

Unit cell a=6.8255 b=5.2065 c=9.0934 alpha=89.92 beta=90.00 gamma=90.00
Atoms (fractional coordinates):
Na 0.4977 0.7500 0.7429
Na 0.9977 0.2500 0.2571
Na 0.5023 0.2500 0.2571
Na 0.0023 0.7500 0.7429
Na 0.7500 0.7603 0.0855
Na 0.2500 0.2397 0.9145
Mn 0.2500 0.7806 0.3614
Mn 0.7500 0.2194 0.6386
P 0.7500 0.7007 0.4129
P 0.2500 0.2993 0.5871
C 0.2500 0.7411 0.0608
C 0.7500 0.2589 0.9392
O 0.2500 0.9695 0.1193
O 0.7500 0.0305 0.8807
O 0.2500 0.5412 0.1470
O 0.7500 0.4588 0.8530
O 0.2500 0.7127 0.9193
O 0.7500 0.2873 0.0807
O 0.9329 0.7848 0.3221
O 0.4329 0.2152 0.6779
O 0.0671 0.2152 0.6779
O 0.5671 0.7848 0.3221
O 0.7500 0.8179 0.5700
O 0.2500 0.1821 0.4300
O 0.2500 0.5988 0.5714
O 0.7500 0.4012 0.4286

---

Stability, highest: version B